Entry 1:
Below is a relaxed structure of Na5LiCo2P2C2O14, with properties calculated at the PBE with a Hubbard U level.

Results
Total magnetization = 3.0 μB per formula unit
Offset from the most stable computed form = 0.0636 eV per atom
Formation energy from the elements = -2.18 eV per atom
Final energy = -6.346 eV/atom

```
data_Na5LiCo2P2C2O14
_chemical_formula_sum 'Na10 Li2 Co4 P4 C4 O28'
_space_group_name_H-M_alt 'P 1'
_space_group_IT_number 1
_space_group_name_Hall 'P 1'
_cell_length_a 8.5162
_cell_length_b 8.5197
_cell_length_c 8.8355
_cell_angle_alpha 91.54
_cell_angle_beta 91.55
_cell_angle_gamma 104.71
loop_
_atom_site_label
_atom_site_type_symbol
_atom_site_fract_x
_atom_site_fract_y
_atom_site_fract_z
_atom_site_occupancy
Na1 Na 0.0000 0.0000 0.0000 1
Na2 Na 0.0091 0.5087 0.4657 1
Na3 Na 0.2429 0.7572 0.0004 1
Na4 Na 0.2517 0.2679 0.4644 1
Na5 Na 0.3640 0.1214 0.8162 1
Na6 Na 0.4960 0.4954 0.0022 1
Na7 Na 0.5101 0.0087 0.4651 1
Na8 Na 0.7382 0.2531 0.0022 1
Na9 Na 0.7518 0.7674 0.4658 1
Na10 Na 0.8628 0.6195 0.8149 1
Li1 Li 0.3892 0.6456 0.6246 1
Li2 Li 0.8893 0.1471 0.6251 1
Co1 Co 0.1059 0.3702 0.0841 1
Co2 Co 0.1399 0.8970 0.3874 1
Co3 Co 0.6133 0.8631 0.0845 1
Co4 Co 0.6393 0.3957 0.3863 1
P1 P 0.3612 0.6189 0.3200 1
P2 P 0.3882 0.1452 0.1480 1
P3 P 0.8619 0.1182 0.3201 1
P4 P 0.8892 0.6465 0.1473 1
C1 C 0.1070 0.8639 0.6716 1
C2 C 0.1495 0.4065 0.7817 1
C3 C 0.6078 0.3645 0.6711 1
C4 C 0.6491 0.9062 0.7810 1
O1 O 0.0078 0.7646 0.5758 1
O2 O 0.0252 0.2843 0.7995 1
O3 O 0.0384 0.7955 0.1791 1
O4 O 0.0922 0.8495 0.8157 1
O5 O 0.1969 0.4545 0.6486 1
O6 O 0.2132 0.4700 0.2860 1
O7 O 0.2205 0.9775 0.6154 1
O8 O 0.2300 0.4840 0.9018 1
O9 O 0.2575 0.2000 0.0504 1
O10 O 0.3074 0.7474 0.4214 1
O11 O 0.3217 0.0790 0.3013 1
O12 O 0.4289 0.6869 0.1674 1
O13 O 0.4422 0.0141 0.0503 1
O14 O 0.4904 0.5652 0.4208 1
O15 O 0.5068 0.2655 0.5766 1
O16 O 0.5275 0.7812 0.7976 1
O17 O 0.5384 0.2943 0.1801 1
O18 O 0.5946 0.3518 0.8156 1
O19 O 0.6979 0.9550 0.6485 1
O20 O 0.7124 0.9707 0.2867 1
O21 O 0.7221 0.4762 0.6132 1
O22 O 0.7255 0.9865 0.9018 1
O23 O 0.7584 0.7003 0.0482 1
O24 O 0.8092 0.2480 0.4207 1
O25 O 0.8215 0.5791 0.2994 1
O26 O 0.9298 0.1853 0.1672 1
O27 O 0.9426 0.5153 0.0484 1
O28 O 0.9903 0.0642 0.4216 1
```

***

Entry 2:
Below is a relaxed structure of Cr2FeO4, with properties calculated at the PBE with a Hubbard U level.

Results
Total magnetization = 0.0 μB per formula unit
Offset from the most stable computed form = 0.0823 eV per atom
Formation energy from the elements = -2.10 eV per atom
Final energy = -7.608 eV/atom

```
data_Cr2FeO4
_chemical_formula_sum 'Cr8 Fe4 O16'
_space_group_name_H-M_alt 'P n m a'
_space_group_IT_number 62
_space_group_name_Hall '-P 2ac 2n'
_cell_length_a 9.2610
_cell_length_b 3.0323
_cell_length_c 10.8039
_cell_angle_alpha 90.00
_cell_angle_beta 90.00
_cell_angle_gamma 90.00
loop_
_atom_site_label
_atom_site_type_symbol
_atom_site_fract_x
_atom_site_fract_y
_atom_site_fract_z
_atom_site_occupancy
Cr1 Cr 0.0499 0.2500 0.1170 1
Cr2 Cr 0.0928 0.2500 0.5958 1
Fe1 Fe 0.2460 0.7500 0.3290 1
O1 O 0.0518 0.7500 0.7157 1
O2 O 0.0821 0.2500 0.9327 1
O3 O 0.1127 0.7500 0.4712 1
O4 O 0.1915 0.7500 0.1539 1
```

***

Entry 3:
Below is a relaxed structure of K5Mo4O14F, with properties calculated at the PBE with a Hubbard U level.

Results
Total magnetization = 0.0 μB per formula unit
Formation energy from the elements = -2.21 eV per atom
Final energy = -6.260 eV/atom

```
data_K5Mo4O14F
_chemical_formula_sum 'K20 Mo16 O56 F4'
_space_group_name_H-M_alt 'C 1 2/c 1'
_space_group_IT_number 15
_space_group_name_Hall '-C 2yc'
_cell_length_a 18.2246
_cell_length_b 10.9098
_cell_length_c 8.6333
_cell_angle_alpha 90.00
_cell_angle_beta 98.04
_cell_angle_gamma 90.00
loop_
_atom_site_label
_atom_site_type_symbol
_atom_site_fract_x
_atom_site_fract_y
_atom_site_fract_z
_atom_site_occupancy
K1 K 0.0000 0.0590 0.2500 1
K2 K 0.1139 0.4320 0.2721 1
K3 K 0.2202 0.1028 0.0909 1
Mo1 Mo 0.0476 0.2543 0.9288 1
Mo2 Mo 0.1509 0.2177 0.6038 1
O1 O 0.0010 0.3218 0.4291 1
O2 O 0.0613 0.1878 0.6913 1
O3 O 0.0715 0.1066 0.0053 1
O4 O 0.1349 0.3318 0.9503 1
O5 O 0.1437 0.1596 0.4110 1
O6 O 0.1728 0.3761 0.5997 1
O7 O 0.2242 0.1393 0.7223 1
F1 F 0.0000 0.3923 0.7500 1
```

***

Entry 4:
Below is a relaxed structure of LaMn3V4O12, with properties calculated at the PBE with a Hubbard U level.

Results
Total magnetization = 20.0 μB per formula unit
Offset from the most stable computed form = 0.2484 eV per atom
Formation energy from the elements = -2.29 eV per atom
Final energy = -7.698 eV/atom

```
data_LaMn3V4O12
_chemical_formula_sum 'La2 Mn6 V8 O24'
_space_group_name_H-M_alt 'I m -3 m'
_space_group_IT_number 229
_space_group_name_Hall '-I 4 2 3'
_cell_length_a 7.7090
_cell_length_b 7.7090
_cell_length_c 7.7090
_cell_angle_alpha 90.00
_cell_angle_beta 90.00
_cell_angle_gamma 90.00
loop_
_atom_site_label
_atom_site_type_symbol
_atom_site_fract_x
_atom_site_fract_y
_atom_site_fract_z
_atom_site_occupancy
La1 La 0.0000 0.0000 0.0000 1
Mn1 Mn 0.0000 0.0000 0.5000 1
V1 V 0.2500 0.2500 0.2500 1
O1 O 0.0000 0.2508 0.2508 1
```

***

Entry 5:
Below is a relaxed structure of KTaWO6, with properties calculated at the PBE with a Hubbard U level.

Results
Total magnetization = 0.0 μB per formula unit
Formation energy from the elements = -2.72 eV per atom
Final energy = -7.953 eV/atom

```
data_KTaWO6
_chemical_formula_sum 'K4 Ta4 W4 O24'
_space_group_name_H-M_alt 'I m a 2'
_space_group_IT_number 46
_space_group_name_Hall 'I 2 -2a'
_cell_length_a 7.5036
_cell_length_b 10.5507
_cell_length_c 7.4461
_cell_angle_alpha 90.00
_cell_angle_beta 90.00
_cell_angle_gamma 90.00
loop_
_atom_site_label
_atom_site_type_symbol
_atom_site_fract_x
_atom_site_fract_y
_atom_site_fract_z
_atom_site_occupancy
K1 K 0.2500 0.2324 0.0000 1
Ta1 Ta 0.0000 0.0000 0.7166 1
W1 W 0.2500 0.7497 0.4658 1
O1 O 0.0664 0.6282 0.0321 1
O2 O 0.0675 0.6273 0.4043 1
O3 O 0.2500 0.0637 0.7199 1
O4 O 0.2500 0.6935 0.7181 1
```

***

Entry 6:
Below is a relaxed structure of LiMn2O3, with properties calculated at the PBE with a Hubbard U level.

Results
Total magnetization = 4.0 μB per formula unit
Offset from the most stable computed form = 0.0002 eV per atom
Formation energy from the elements = -2.07 eV per atom
Final energy = -7.021 eV/atom

```
data_LiMn2O3
_chemical_formula_sum 'Li8 Mn16 O24'
_space_group_name_H-M_alt 'C 1 2 1'
_space_group_IT_number 5
_space_group_name_Hall 'C 2y'
_cell_length_a 5.4905
_cell_length_b 8.9200
_cell_length_c 10.0892
_cell_angle_alpha 90.00
_cell_angle_beta 96.42
_cell_angle_gamma 90.00
loop_
_atom_site_label
_atom_site_type_symbol
_atom_site_fract_x
_atom_site_fract_y
_atom_site_fract_z
_atom_site_occupancy
Li1 Li 0.0000 0.0000 0.0000 1
Li2 Li 0.0000 0.1474 0.5000 1
Li3 Li 0.0000 0.3165 0.0000 1
Li4 Li 0.0000 0.4901 0.5000 1
Mn1 Mn 0.0000 0.6587 0.0000 1
Mn2 Mn 0.0000 0.8173 0.5000 1
Mn3 Mn 0.2409 0.1512 0.2518 1
Mn4 Mn 0.2453 0.4880 0.2501 1
Mn5 Mn 0.2490 0.3206 0.7500 1
O1 O 0.1230 0.9955 0.3699 1
O2 O 0.1248 0.6436 0.3708 1
O3 O 0.1362 0.5010 0.8675 1
O4 O 0.1409 0.1435 0.8716 1
O5 O 0.1480 0.3181 0.3678 1
O6 O 0.1526 0.8184 0.8652 1
```

***

Entry 7:
Below is a relaxed structure of Na3Mn2P2C2O14, with properties calculated at the PBE with a Hubbard U level.

Results
Total magnetization = 7.0 μB per formula unit
Offset from the most stable computed form = 0.0074 eV per atom
Formation energy from the elements = -2.24 eV per atom
Final energy = -6.933 eV/atom

```
data_Na3Mn2P2C2O14
_chemical_formula_sum 'Na6 Mn4 P4 C4 O28'
_space_group_name_H-M_alt 'P -1'
_space_group_IT_number 2
_space_group_name_Hall '-P 1'
_cell_length_a 6.5784
_cell_length_b 8.9809
_cell_length_c 10.3866
_cell_angle_alpha 91.49
_cell_angle_beta 90.38
_cell_angle_gamma 91.24
loop_
_atom_site_label
_atom_site_type_symbol
_atom_site_fract_x
_atom_site_fract_y
_atom_site_fract_z
_atom_site_occupancy
Na1 Na 0.0049 0.2401 0.1311 1
Na2 Na 0.0247 0.2418 0.6283 1
Na3 Na 0.4868 0.2391 0.1251 1
Mn1 Mn 0.2561 0.6544 0.1462 1
Mn2 Mn 0.2575 0.6516 0.6385 1
P1 P 0.2460 0.4281 0.3900 1
P2 P 0.2491 0.4256 0.8967 1
C1 C 0.2468 0.9232 0.1157 1
C2 C 0.2538 0.9223 0.6150 1
O1 O 0.0581 0.3267 0.3549 1
O2 O 0.0609 0.3272 0.8600 1
O3 O 0.2381 0.5772 0.3193 1
O4 O 0.2403 0.0605 0.1010 1
O5 O 0.2418 0.4632 0.0460 1
O6 O 0.2424 0.4656 0.5373 1
O7 O 0.2466 0.0586 0.6052 1
O8 O 0.2486 0.8587 0.2270 1
O9 O 0.2506 0.8244 0.5182 1
O10 O 0.2529 0.5742 0.8237 1
O11 O 0.2529 0.8244 0.0187 1
O12 O 0.2636 0.8532 0.7269 1
O13 O 0.4323 0.3363 0.3503 1
O14 O 0.4362 0.3302 0.8705 1
```

***

Entry 8:
Below is a relaxed structure of Sr3Fe2Cu2S2O5, with properties calculated at the PBE with a Hubbard U level.

Results
Total magnetization = 10.0 μB per formula unit
Formation energy from the elements = -1.94 eV per atom
Final energy = -5.818 eV/atom

```
data_Sr3Fe2Cu2S2O5
_chemical_formula_sum 'Sr6 Fe4 Cu4 S4 O10'
_space_group_name_H-M_alt 'I 4/m m m'
_space_group_IT_number 139
_space_group_name_Hall '-I 4 2'
_cell_length_a 3.9652
_cell_length_b 3.9652
_cell_length_c 26.6583
_cell_angle_alpha 90.00
_cell_angle_beta 90.00
_cell_angle_gamma 90.00
loop_
_atom_site_label
_atom_site_type_symbol
_atom_site_fract_x
_atom_site_fract_y
_atom_site_fract_z
_atom_site_occupancy
Sr1 Sr 0.0000 0.0000 0.0000 1
Sr2 Sr 0.0000 0.0000 0.1423 1
Fe1 Fe 0.0000 0.0000 0.4277 1
Cu1 Cu 0.0000 0.5000 0.2500 1
S1 S 0.0000 0.0000 0.3022 1
O1 O 0.0000 0.0000 0.5000 1
O2 O 0.0000 0.5000 0.0828 1
```

***

Entry 9:
Below is a relaxed structure of MgCu2W2O6F4, with properties calculated at the PBE with a Hubbard U level.

Results
Total magnetization = 0.0 μB per formula unit
Offset from the most stable computed form = 0.0000 eV per atom
Formation energy from the elements = -2.19 eV per atom
Final energy = -6.074 eV/atom

```
data_MgCu2W2O6F4
_chemical_formula_sum 'Mg1 Cu2 W2 O6 F4'
_space_group_name_H-M_alt 'P 1'
_space_group_IT_number 1
_space_group_name_Hall 'P 1'
_cell_length_a 3.8660
_cell_length_b 5.7071
_cell_length_c 10.3453
_cell_angle_alpha 91.24
_cell_angle_beta 90.02
_cell_angle_gamma 109.72
loop_
_atom_site_label
_atom_site_type_symbol
_atom_site_fract_x
_atom_site_fract_y
_atom_site_fract_z
_atom_site_occupancy
Mg1 Mg 0.0000 0.0000 0.0000 1
Cu1 Cu 0.2947 0.5878 0.9792 1
Cu2 Cu 0.3224 0.6442 0.4841 1
W1 W 0.0743 0.1508 0.7133 1
W2 W 0.5441 0.0883 0.2310 1
O1 O 0.0520 0.1041 0.2038 1
O2 O 0.1455 0.2927 0.8836 1
O3 O 0.2067 0.4160 0.6130 1
O4 O 0.4205 0.8398 0.3424 1
O5 O 0.4529 0.9053 0.0622 1
O6 O 0.5530 0.1076 0.7144 1
F1 F 0.6700 0.3404 0.3667 1
F2 F 0.6973 0.3966 0.1189 1
F3 F 0.9121 0.8243 0.8332 1
F4 F 0.9438 0.8883 0.5763 1
```

***

Entry 10:
Below is a relaxed structure of SrCaHfWO6, with properties calculated at the PBE with a Hubbard U level.

Results
Total magnetization = 2.0 μB per formula unit
Formation energy from the elements = -3.06 eV per atom
Final energy = -7.834 eV/atom

```
data_SrCaHfWO6
_chemical_formula_sum 'Sr4 Ca4 Hf4 W4 O24'
_space_group_name_H-M_alt 'F -4 3 m'
_space_group_IT_number 216
_space_group_name_Hall 'F -4 2 3'
_cell_length_a 8.1956
_cell_length_b 8.1956
_cell_length_c 8.1956
_cell_angle_alpha 90.00
_cell_angle_beta 90.00
_cell_angle_gamma 90.00
loop_
_atom_site_label
_atom_site_type_symbol
_atom_site_fract_x
_atom_site_fract_y
_atom_site_fract_z
_atom_site_occupancy
Sr1 Sr 0.0000 0.0000 0.0000 1
Ca1 Ca 0.0000 0.0000 0.5000 1
Hf1 Hf 0.2500 0.2500 0.7500 1
W1 W 0.2500 0.2500 0.2500 1
O1 O 0.0004 0.2500 0.2500 1
```

***

Entry 11:
Below is a relaxed structure of Bi2WO8, with properties calculated at the PBE with a Hubbard U level.

Results
Total magnetization = 0.0 μB per formula unit
Offset from the most stable computed form = 0.0000 eV per atom
Formation energy from the elements = -1.46 eV per atom
Final energy = -6.039 eV/atom

```
data_Bi2WO8
_chemical_formula_sum 'Bi2 W1 O8'
_space_group_name_H-M_alt 'P 1'
_space_group_IT_number 1
_space_group_name_Hall 'P 1'
_cell_length_a 5.3785
_cell_length_b 5.5878
_cell_length_c 5.6500
_cell_angle_alpha 104.38
_cell_angle_beta 97.45
_cell_angle_gamma 94.96
loop_
_atom_site_label
_atom_site_type_symbol
_atom_site_fract_x
_atom_site_fract_y
_atom_site_fract_z
_atom_site_occupancy
Bi1 Bi 0.0000 0.0000 0.0000 1
Bi2 Bi 0.3550 0.5180 0.9594 1
W1 W 0.5841 0.0639 0.4155 1
O1 O 0.1610 0.7383 0.7542 1
O2 O 0.2726 0.8316 0.2755 1
O3 O 0.4046 0.2081 0.1187 1
O4 O 0.4729 0.3364 0.6183 1
O5 O 0.6911 0.9080 0.6488 1
O6 O 0.6916 0.7817 0.1151 1
O7 O 0.8929 0.2004 0.3485 1
O8 O 0.9827 0.3312 0.8907 1
```

***

Entry 12:
Below is a relaxed structure of Li2Fe3Co5O16, with properties calculated at the PBE with a Hubbard U level.

Results
Total magnetization = 15.0 μB per formula unit
Formation energy from the elements = -1.31 eV per atom
Final energy = -5.851 eV/atom

```
data_Li2Fe3Co5O16
_chemical_formula_sum 'Li2 Fe3 Co5 O16'
_space_group_name_H-M_alt 'P 1 2/m 1'
_space_group_IT_number 10
_space_group_name_Hall '-P 2y'
_cell_length_a 5.2304
_cell_length_b 2.9361
_cell_length_c 19.2714
_cell_angle_alpha 90.00
_cell_angle_beta 93.50
_cell_angle_gamma 90.00
loop_
_atom_site_label
_atom_site_type_symbol
_atom_site_fract_x
_atom_site_fract_y
_atom_site_fract_z
_atom_site_occupancy
Li1 Li 0.2487 0.0000 0.2473 1
Fe1 Fe 0.3685 0.0000 0.6266 1
Fe2 Fe 0.5000 0.5000 0.5000 1
Co1 Co 0.0000 0.5000 0.0000 1
Co2 Co 0.1270 0.0000 0.8767 1
Co3 Co 0.2500 0.5000 0.7511 1
O1 O 0.0153 0.5000 0.1881 1
O2 O 0.1023 0.0000 0.6989 1
O3 O 0.1320 0.0000 0.0546 1
O4 O 0.2380 0.5000 0.5650 1
O5 O 0.2535 0.5000 0.9353 1
O6 O 0.3542 0.0000 0.4439 1
O7 O 0.3918 0.0000 0.8043 1
O8 O 0.4785 0.5000 0.3085 1
```